# 1
{
  "formula": "HoCdAu2",
  "functional": "GGA-PBE",
  "state": "relaxed",
  "lattice": [[-3.914, 1.895, 2.319], [-4.130, 0.953, -2.514], [-4.016, -2.765, 0.719]],
  "species": ["Ho", "Cd", "Au", "Au"],
  "frac_coords": [[0.000, 0.000, 0.000], [0.500, 0.500, 0.500], [0.750, 0.750, 0.750], [0.250, 0.250, 0.250]],
  "vol_a3_per_atom": 21.16
}


# 2
{
  "formula": "Nd6Mn23",
  "functional": "GGA-PBE",
  "state": "relaxed",
  "lattice": [[-3.966, -5.517, 5.271], [-8.511, -1.106, -0.547], [-3.189, -7.364, -3.092]],
  "species": ["Nd", "Nd", "Nd", "Nd", "Nd", "Nd", "Mn", "Mn", "Mn", "Mn", "Mn", "Mn", "Mn", "Mn", "Mn", "Mn", "Mn", "Mn", "Mn", "Mn", "Mn", "Mn", "Mn", "Mn", "Mn", "Mn", "Mn", "Mn", "Mn"],
  "frac_coords": [[0.704, 0.704, 0.296], [0.296, 0.704, 0.296], [0.704, 0.296, 0.296], [0.296, 0.296, 0.704], [0.704, 0.296, 0.704], [0.296, 0.704, 0.704], [0.000, 0.000, 0.000], [0.000, 0.000, 0.500], [0.500, 0.000, 0.500], [0.000, 0.500, 0.500], [0.500, 0.500, 0.000], [0.000, 0.500, 0.000], [0.500, 0.000, 0.000], [0.880, 0.880, 0.361], [0.880, 0.361, 0.880], [0.361, 0.880, 0.880], [0.880, 0.880, 0.880], [0.120, 0.120, 0.639], [0.120, 0.639, 0.120], [0.639, 0.120, 0.120], [0.120, 0.120, 0.120], [0.680, 0.680, 0.959], [0.680, 0.959, 0.680], [0.959, 0.680, 0.680], [0.680, 0.680, 0.680], [0.320, 0.320, 0.041], [0.320, 0.041, 0.320], [0.041, 0.320, 0.320], [0.320, 0.320, 0.320]],
  "vol_a3_per_atom": 15.51,
  "total_magnetization_mub_per_cell": 32.5
}


| no. | formation energy from the elements (meV/atom) |
| --- | --- |
| 1 | -673 |
| 2 | 203 |